The following is a PBE calculation of HfMgS3O12 after structural relaxation, from Materials Project.

Cell: 8.7706 8.7706 22.5279 Å, 90.00 90.00 120.00°
With the nearest neighbours (Å) after each atom.
Element x y z (fractional)
Hf 0.0000 0.0000 0.6448  6 O 2.05-2.08
Hf 0.0000 0.0000 0.1448  6 O 2.05-2.08
Hf 0.6667 0.3333 0.9782  6 O 2.05-2.08
Hf 0.6667 0.3333 0.4782  6 O 2.05-2.08
Hf 0.3333 0.6667 0.3115  6 O 2.05-2.08
Hf 0.3333 0.6667 0.8115  6 O 2.05-2.08
Mg 0.0000 0.0000 0.3539  6 O 2.06
Mg 0.0000 0.0000 0.8539  6 O 2.06
Mg 0.6667 0.3333 0.6872  6 O 2.06
Mg 0.6667 0.3333 0.1872  6 O 2.06
Mg 0.3333 0.6667 0.0205  6 O 2.06
Mg 0.3333 0.6667 0.5205  6 O 2.06
S 0.2930 0.0059 0.2512  4 O 1.45-1.51
S 0.7130 0.7070 0.2512  4 O 1.45-1.51
S 0.9941 0.2870 0.2512  4 O 1.45-1.51
S 0.2930 0.2870 0.7512  4 O 1.45-1.51
S 0.9941 0.7070 0.7512  4 O 1.45-1.51
S 0.7130 0.0059 0.7512  4 O 1.45-1.51
S 0.9596 0.3393 0.5846  4 O 1.45-1.51
S 0.3796 0.0404 0.5846  4 O 1.45-1.51
S 0.6607 0.6204 0.5846  4 O 1.45-1.51
S 0.9596 0.6204 0.0846  4 O 1.45-1.51
S 0.6607 0.0404 0.0846  4 O 1.45-1.51
S 0.3796 0.3393 0.0846  4 O 1.45-1.51
S 0.6263 0.6726 0.9179  4 O 1.45-1.51
S 0.0463 0.3737 0.9179  4 O 1.45-1.51
S 0.3274 0.9537 0.9179  4 O 1.45-1.51
S 0.6263 0.9537 0.4179  4 O 1.45-1.51
S 0.3274 0.3737 0.4179  4 O 1.45-1.51
S 0.0463 0.6726 0.4179  4 O 1.45-1.51
O 0.2084 0.0293 0.3030  1 S 1.45
O 0.8209 0.7916 0.3030  1 S 1.45
O 0.9707 0.1791 0.3030  1 S 1.45
O 0.2084 0.1791 0.8030  1 S 1.45
O 0.9707 0.7916 0.8030  1 S 1.45
O 0.8209 0.0293 0.8030  1 S 1.45
O 0.7909 0.9680 0.6971  1 S 1.51
O 0.1771 0.2091 0.6971  1 S 1.51
O 0.0320 0.8229 0.6971  1 S 1.51
O 0.7909 0.8229 0.1971  1 S 1.51
O 0.0320 0.2091 0.1971  1 S 1.51
O 0.1771 0.9680 0.1971  1 S 1.51
O 0.8750 0.3626 0.6363  1 S 1.45
O 0.4876 0.1250 0.6363  1 S 1.45
O 0.6374 0.5124 0.6363  1 S 1.45
O 0.8750 0.5124 0.1363  1 S 1.45
O 0.6374 0.1250 0.1363  1 S 1.45
O 0.4876 0.3626 0.1363  1 S 1.45
O 0.4576 0.3014 0.0304  1 S 1.51
O 0.8437 0.5424 0.0304  1 S 1.51
O 0.6986 0.1563 0.0304  1 S 1.51
O 0.4576 0.1563 0.5304  1 S 1.51
O 0.6986 0.5424 0.5304  1 S 1.51
O 0.8437 0.3014 0.5304  1 S 1.51
O 0.5417 0.6959 0.9697  1 S 1.45
O 0.1542 0.4583 0.9697  1 S 1.45
O 0.3041 0.8458 0.9697  1 S 1.45
O 0.5417 0.8458 0.4697  1 S 1.45
O 0.3041 0.4583 0.4697  1 S 1.45
O 0.1542 0.6959 0.4697  1 S 1.45
O 0.1243 0.6347 0.3637  1 S 1.51
O 0.5104 0.8757 0.3637  1 S 1.51
O 0.3653 0.4896 0.3637  1 S 1.51
O 0.1243 0.4896 0.8637  1 S 1.51
O 0.3653 0.8757 0.8637  1 S 1.51
O 0.5104 0.6347 0.8637  1 S 1.51
O 0.0231 0.8229 0.4075  1 S 1.45
O 0.7998 0.9769 0.4075  1 S 1.45
O 0.1771 0.2002 0.4075  1 S 1.45
O 0.0231 0.2002 0.9075  1 S 1.45
O 0.1771 0.9769 0.9075  1 S 1.45
O 0.7998 0.8229 0.9075  1 S 1.45
O 0.9740 0.1756 0.5916  1 S 1.51
O 0.2016 0.0260 0.5916  1 S 1.51
O 0.8244 0.7984 0.5916  1 S 1.51
O 0.9740 0.7984 0.0916  1 S 1.51
O 0.8244 0.0260 0.0916  1 S 1.51
O 0.2016 0.1756 0.0916  1 S 1.51
O 0.6897 0.1562 0.7408  1 S 1.45
O 0.4665 0.3103 0.7408  1 S 1.45
O 0.8438 0.5335 0.7408  1 S 1.45
O 0.6897 0.5335 0.2408  1 S 1.45
O 0.8438 0.3103 0.2408  1 S 1.45
O 0.4665 0.1562 0.2408  1 S 1.45
O 0.6407 0.5090 0.9250  1 S 1.51
O 0.8683 0.3593 0.9250  1 S 1.51
O 0.4910 0.1317 0.9250  1 S 1.51
O 0.6407 0.1317 0.4250  1 S 1.51
O 0.4910 0.3593 0.4250  1 S 1.51
O 0.8683 0.5090 0.4250  1 S 1.51
O 0.3564 0.4895 0.0742  1 S 1.45
O 0.1331 0.6436 0.0742  1 S 1.45
O 0.5105 0.8669 0.0742  1 S 1.45
O 0.3564 0.8669 0.5742  1 S 1.45
O 0.5105 0.6436 0.5742  1 S 1.45
O 0.1331 0.4895 0.5742  1 S 1.45
O 0.3074 0.8423 0.2583  1 S 1.51
O 0.5349 0.6926 0.2583  1 S 1.51
O 0.1577 0.4651 0.2583  1 S 1.51
O 0.3074 0.4651 0.7583  1 S 1.51
O 0.1577 0.6926 0.7583  1 S 1.51
O 0.5349 0.8423 0.7583  1 S 1.51

Results
The value obtained for the corrected total energy (MP2020 scheme) is -7.36 eV per atom.